First-principles (meta-GGA r2SCAN) data for a relaxed LaF3 crystal, as listed in the Materials Project.

abc: 4.1499 4.1499 7.3265
angles: 90.00 90.00 120.00
Space group P6_3/mmc (No. 194)
Inequivalent atoms, fractional coordinates:
La1 0.3333 0.6667 0.2500 x2
F1 0.0000 0.0000 0.2500 x2
F2 0.3333 0.6667 0.5800 x4

Summary:
As for the total energy: -14.2702 eV per atom. The formation energy comes out at -4.489 eV per atom. As for the crystal system: hexagonal.